Material: VFeO4
Method: DFT, PBE+U
State: relaxed

Properties
The space-group type is P-1. For the calculated volume, the calculation gives 13.22 Å³/atom. The value obtained for the energy of formation is -2.06 eV per atom.

a = 6.7794 Å, b = 8.0937 Å, c = 9.3932 Å
α = 96.43°, β = 106.57°, γ = 101.56°
Element x y z (fractional)
V: 0.0058 0.9986 0.2622
V: 0.9942 0.0014 0.7378
V: 0.1989 0.5982 0.3498
V: 0.8011 0.4018 0.6502
V: 0.5246 0.3057 0.1283
V: 0.4754 0.6943 0.8717
Fe: 0.7517 0.7007 0.4083
Fe: 0.2483 0.2993 0.5917
Fe: 0.4641 0.8883 0.2133
Fe: 0.5359 0.1117 0.7867
Fe: 0.9711 0.3065 0.0109
Fe: 0.0289 0.6935 0.9891
O: 0.6496 0.4936 0.2531
O: 0.3504 0.5064 0.7469
O: 0.2565 0.4333 0.4361
O: 0.7435 0.5667 0.5639
O: 0.0482 0.6986 0.4300
O: 0.9518 0.3014 0.5700
O: 0.1606 0.0968 0.4381
O: 0.8394 0.9032 0.5619
O: 0.4540 0.7376 0.3651
O: 0.5460 0.2624 0.6349
O: 0.7598 0.8623 0.2663
O: 0.2402 0.1377 0.7337
O: 0.5286 0.1285 0.2181
O: 0.4714 0.8715 0.7819
O: 0.1515 0.8761 0.1788
O: 0.8485 0.1239 0.8212
O: 0.3541 0.7265 0.0198
O: 0.6459 0.2735 0.9802
O: 0.2650 0.3006 0.0373
O: 0.7350 0.6994 0.9627
O: 0.9487 0.1481 0.1557
O: 0.0513 0.8519 0.8443
O: 0.0565 0.5277 0.1511
O: 0.9435 0.4723 0.8489